# Cu6Mo5O18 (GGA+U, relaxed)
# DFT formation energy: -1512 meV/atom
# Symmetry: C2/c, No. 15
data_Cu6Mo5O18
_chemical_formula_sum 'Cu12 Mo10 O36'
_cell_length_a 10.0174
_cell_length_b 10.0174
_cell_length_c 14.9691
_cell_angle_alpha 54.30
_cell_angle_beta 54.30
_cell_angle_gamma 36.77
_symmetry_space_group_name_H-M 'P 1'
_symmetry_Int_Tables_number 1
loop_
_symmetry_equiv_pos_as_xyz
'x,y,z'
loop_
_atom_site_label
_atom_site_fract_x
_atom_site_fract_y
_atom_site_fract_z
_atom_site_occupancy
Cu1 0.2499 0.5125 0.6607 1
Cu2 0.4875 0.7501 0.8393 1
Cu3 0.7501 0.4875 0.3393 1
Cu4 0.5125 0.2499 0.1607 1
Cu5 0.2897 0.3926 0.4122 1
Cu6 0.6074 0.7103 0.0878 1
Cu7 0.7103 0.6074 0.5878 1
Cu8 0.3926 0.2897 0.9122 1
Cu9 0.0914 0.3348 0.6494 1
Cu10 0.6652 0.9086 0.8506 1
Cu11 0.3348 0.0914 0.1494 1
Cu12 0.9086 0.6652 0.3506 1
Mo1 0.8412 0.1702 0.9044 1
Mo2 0.8298 0.1588 0.5956 1
Mo3 0.1588 0.8298 0.0956 1
Mo4 0.1702 0.8412 0.4044 1
Mo5 0.0494 0.3086 0.9092 1
Mo6 0.6914 0.9506 0.5908 1
Mo7 0.9506 0.6914 0.0908 1
Mo8 0.3086 0.0494 0.4092 1
Mo9 0.8185 0.1815 0.2500 1
Mo10 0.1815 0.8185 0.7500 1
O1 0.1603 0.9987 0.2516 1
O2 0.0013 0.8397 0.2484 1
O3 0.8397 0.0013 0.7484 1
O4 0.9987 0.1603 0.7516 1
O5 0.5811 0.2912 0.9089 1
O6 0.7088 0.4189 0.5911 1
O7 0.4189 0.7088 0.0911 1
O8 0.2912 0.5811 0.4089 1
O9 0.5609 0.2758 0.2650 1
O10 0.7242 0.4391 0.2350 1
O11 0.4391 0.7242 0.7350 1
O12 0.2758 0.5609 0.7650 1
O13 0.0078 0.8314 0.5723 1
O14 0.1686 0.9922 0.9277 1
O15 0.9922 0.1686 0.4277 1
O16 0.8314 0.0078 0.0723 1
O17 0.8529 0.6746 0.5769 1
O18 0.3254 0.1471 0.9231 1
O19 0.1471 0.3254 0.4231 1
O20 0.6746 0.8529 0.0769 1
O21 0.8576 0.5796 0.9375 1
O22 0.4204 0.1424 0.5625 1
O23 0.1155 0.3792 0.7551 1
O24 0.6208 0.8845 0.7449 1
O25 0.8845 0.6208 0.2449 1
O26 0.3792 0.1155 0.2551 1
O27 0.4190 0.7531 0.4062 1
O28 0.2469 0.5810 0.0938 1
O29 0.5810 0.2469 0.5938 1
O30 0.7531 0.4190 0.9062 1
O31 0.9624 0.1678 0.0897 1
O32 0.8322 0.0376 0.4103 1
O33 0.0376 0.8322 0.9103 1
O34 0.1678 0.9624 0.5897 1
O35 0.5796 0.8576 0.4375 1
O36 0.1424 0.4204 0.0625 1